# Sm6Al3Fe11, optimized geometry, DFT r2SCAN
data_Sm6Al3Fe11
_cell_length_a 8.092
_cell_length_b 8.092
_cell_length_c 23.328
_cell_angle_alpha 90.00
_cell_angle_beta 90.00
_cell_angle_gamma 90.00
_symmetry_space_group_name_H-M 'I 4 c m'
_symmetry_Int_Tables_number 108
_symmetry_space_group_name_Hall 'I 4 -2c'
loop_
_atom_site_label
_atom_site_type_symbol
_atom_site_fract_x
_atom_site_fract_y
_atom_site_fract_z
_atom_site_occupancy
Sm1 Sm 0.000 0.000 0.000 1
Sm2 Sm 0.000 0.000 0.216 1
Sm3 Sm 0.164 0.336 0.421 1
Sm4 Sm 0.165 0.335 0.802 1
Al1 Al 0.000 0.000 0.358 1
Al2 Al 0.119 0.381 0.204 1
Fe1 Fe 0.000 0.500 0.107 1
Fe2 Fe 0.068 0.208 0.106 1
Fe3 Fe 0.115 0.385 0.013 1
Fe4 Fe 0.176 0.324 0.663 1
Fe5 Fe 0.177 0.323 0.547 1
# Size of the total moment, μB per formula unit: 25.7
# E_tot, eV for the cell shown: -1438.76